1.
## K3ZnB5O10 (PBE)

Data for a geometry-optimized K3ZnB5O10 structure.

Lattice parameters (Å, degrees): 19.489 7.772 8.181 58.55 90.00 90.00
Fractional coordinates of all 76 atoms:
K (0.254, 0.241, 0.723)
K (0.921, 0.338, 0.513)
K (0.563, 0.320, 0.470)
K (0.746, 0.759, 0.277)
K (0.937, 0.320, 0.970)
K (0.063, 0.680, 0.030)
K (0.579, 0.338, 0.013)
K (0.421, 0.662, 0.987)
K (0.754, 0.759, 0.777)
K (0.079, 0.662, 0.487)
K (0.437, 0.680, 0.530)
K (0.246, 0.241, 0.223)
O (0.056, 0.247, 0.176)
O (0.236, 0.985, 0.602)
O (0.764, 0.015, 0.398)
O (0.868, 0.957, 0.276)
O (0.147, 0.728, 0.739)
O (0.320, 0.383, 0.393)
O (0.355, 0.891, 0.646)
O (0.233, 0.635, 0.277)
O (0.264, 0.985, 0.102)
O (0.944, 0.753, 0.824)
O (0.132, 0.043, 0.724)
O (0.448, 0.250, 0.970)
O (0.630, 0.969, 0.066)
O (0.267, 0.635, 0.777)
O (0.145, 0.891, 0.146)
O (0.948, 0.750, 0.530)
O (0.450, 0.241, 0.269)
O (0.632, 0.957, 0.776)
O (0.368, 0.043, 0.224)
O (0.645, 0.109, 0.354)
O (0.370, 0.031, 0.934)
O (0.950, 0.759, 0.231)
O (0.444, 0.247, 0.676)
O (0.733, 0.365, 0.223)
O (0.853, 0.272, 0.261)
O (0.353, 0.728, 0.239)
O (0.130, 0.031, 0.434)
O (0.050, 0.241, 0.769)
O (0.820, 0.617, 0.107)
O (0.647, 0.272, 0.761)
O (0.855, 0.109, 0.854)
O (0.180, 0.383, 0.893)
O (0.736, 0.015, 0.898)
O (0.550, 0.759, 0.731)
O (0.052, 0.250, 0.470)
O (0.680, 0.617, 0.607)
O (0.552, 0.750, 0.030)
O (0.556, 0.753, 0.324)
O (0.767, 0.365, 0.723)
O (0.870, 0.969, 0.566)
Zn (0.393, 0.173, 0.505)
Zn (0.893, 0.827, 0.995)
Zn (0.607, 0.827, 0.495)
Zn (0.107, 0.173, 0.005)
B (0.078, 0.176, 0.660)
B (0.422, 0.176, 0.160)
B (0.921, 0.826, 0.644)
B (0.788, 0.158, 0.828)
B (0.288, 0.842, 0.672)
B (0.212, 0.842, 0.172)
B (0.697, 0.421, 0.695)
B (0.839, 0.053, 0.375)
B (0.421, 0.174, 0.856)
B (0.578, 0.824, 0.840)
B (0.339, 0.947, 0.125)
B (0.579, 0.826, 0.144)
B (0.661, 0.053, 0.875)
B (0.712, 0.158, 0.328)
B (0.303, 0.579, 0.305)
B (0.803, 0.421, 0.195)
B (0.197, 0.579, 0.805)
B (0.079, 0.174, 0.356)
B (0.161, 0.947, 0.625)
B (0.922, 0.824, 0.340)

Properties
Mass density = 2.49 g/cm³
Energy = -523.91 eV for the cell shown
Crystal system = monoclinic
Calculated formation energy = -2.652 eV per atom



2.
## Na2MgZrSiS2O12 (PBE)

Data for a geometry-optimized Na2MgZrSiS2O12 structure.

Lattice parameters (Å, degrees): 9.015 8.994 22.850 89.87 90.00 120.08
Fractional coordinates of all 114 atoms:
O (0.979, 0.793, 0.803)
O (0.453, 0.142, 0.528)
O (0.532, 0.682, 0.256)
O (0.828, 0.033, 0.089)
O (0.487, 0.124, 0.633)
O (0.521, 0.823, 0.755)
O (0.682, 0.171, 0.744)
O (0.017, 0.209, 0.197)
O (0.643, 0.513, 0.922)
O (0.531, 0.683, 0.968)
O (0.315, 0.862, 0.980)
O (0.497, 0.655, 0.583)
O (0.849, 0.302, 0.531)
O (0.031, 0.823, 0.413)
O (0.979, 0.180, 0.589)
O (0.183, 0.196, 0.413)
O (0.814, 0.793, 0.303)
O (0.206, 0.020, 0.313)
O (0.030, 0.813, 0.697)
O (0.978, 0.188, 0.303)
O (0.803, 0.974, 0.696)
O (0.850, 0.319, 0.247)
O (0.146, 0.455, 0.970)
O (0.360, 0.491, 0.075)
O (0.814, 0.020, 0.813)
O (0.490, 0.171, 0.244)
O (0.514, 0.154, 0.922)
O (0.132, 0.491, 0.575)
O (0.172, 0.974, 0.196)
O (0.842, 0.537, 0.746)
O (0.309, 0.455, 0.470)
O (0.152, 0.683, 0.468)
O (0.792, 0.823, 0.913)
O (0.506, 0.869, 0.364)
O (0.640, 0.154, 0.422)
O (0.363, 0.869, 0.864)
O (0.684, 0.526, 0.531)
O (0.637, 0.124, 0.133)
O (0.520, 0.640, 0.862)
O (0.210, 0.188, 0.803)
O (0.880, 0.358, 0.636)
O (0.519, 0.865, 0.077)
O (0.454, 0.302, 0.031)
O (0.120, 0.640, 0.362)
O (0.695, 0.537, 0.246)
O (0.868, 0.357, 0.922)
O (0.826, 0.988, 0.410)
O (0.842, 0.526, 0.031)
O (0.547, 0.862, 0.480)
O (0.478, 0.358, 0.136)
O (0.649, 0.520, 0.648)
O (0.870, 0.513, 0.422)
O (0.351, 0.476, 0.364)
O (0.346, 0.865, 0.577)
O (0.689, 0.142, 0.028)
O (0.469, 0.319, 0.747)
O (0.202, 0.180, 0.089)
O (0.836, 0.821, 0.588)
O (0.309, 0.466, 0.755)
O (0.489, 0.357, 0.422)
O (0.871, 0.520, 0.148)
O (0.205, 0.033, 0.589)
O (0.125, 0.476, 0.864)
O (0.301, 0.823, 0.255)
O (0.157, 0.466, 0.255)
O (0.162, 0.988, 0.910)
O (0.150, 0.682, 0.756)
O (0.985, 0.821, 0.088)
O (0.193, 0.209, 0.697)
O (0.013, 0.196, 0.913)
O (0.158, 0.655, 0.083)
O (0.784, 0.813, 0.197)
S (0.293, 0.291, 0.751)
S (0.045, 0.373, 0.918)
S (0.046, 0.668, 0.418)
S (0.374, 0.041, 0.583)
S (0.997, 0.706, 0.752)
S (0.709, 0.706, 0.252)
S (0.963, 0.341, 0.584)
S (0.378, 0.341, 0.084)
S (0.621, 0.668, 0.918)
S (0.329, 0.373, 0.418)
S (0.667, 0.041, 0.083)
S (0.998, 0.291, 0.251)
Mg (0.352, 0.666, 0.518)
Mg (0.664, 0.327, 0.685)
Mg (0.998, 0.006, 0.351)
Mg (0.663, 0.327, 0.185)
Mg (0.009, 0.006, 0.851)
Mg (0.314, 0.666, 0.018)
Na (0.332, 0.657, 0.660)
Na (0.335, 0.027, 0.407)
Na (0.325, 0.657, 0.160)
Na (0.999, 0.636, 0.239)
Na (0.300, 0.953, 0.075)
Na (0.654, 0.306, 0.826)
Na (0.636, 0.636, 0.739)
Na (0.651, 0.306, 0.326)
Na (0.653, 0.953, 0.575)
Na (0.692, 0.027, 0.907)
Na (0.012, 0.986, 0.992)
Na (0.974, 0.986, 0.492)
Si (0.711, 0.013, 0.754)
Si (0.642, 0.967, 0.422)
Si (0.657, 0.621, 0.590)
Si (0.301, 0.013, 0.254)
Si (0.325, 0.967, 0.922)
Si (0.964, 0.621, 0.090)
Zr (0.347, 0.686, 0.314)
Zr (0.339, 0.686, 0.814)
Zr (0.002, 0.992, 0.148)
Zr (0.990, 0.992, 0.648)
Zr (0.672, 0.343, 0.481)
Zr (0.671, 0.343, 0.981)

Properties
Mass density = 2.77 g/cm³
Energy = -762.88 eV for the cell shown
Crystal system = monoclinic
Calculated formation energy = -2.607 eV per atom



3.
## Te3WICl6 (PBE)

Data for a geometry-optimized Te3WICl6 structure.

Lattice parameters (Å, degrees): 11.006 11.853 12.041 68.32 90.00 90.00
Fractional coordinates of all 44 atoms:
Te (0.688, 0.888, 0.456)
Te (0.210, 0.940, 0.952)
Te (0.990, 0.011, 0.218)
Te (0.490, 0.989, 0.282)
Te (0.312, 0.112, 0.544)
Te (0.790, 0.060, 0.048)
Te (0.188, 0.112, 0.044)
Te (0.710, 0.060, 0.548)
Te (0.010, 0.989, 0.782)
Te (0.510, 0.011, 0.718)
Te (0.812, 0.888, 0.956)
Te (0.290, 0.940, 0.452)
I (0.470, 0.773, 0.760)
I (0.970, 0.227, 0.740)
I (0.530, 0.227, 0.240)
I (0.030, 0.773, 0.260)
Cl (0.670, 0.691, 0.296)
Cl (0.820, 0.391, 0.376)
Cl (0.505, 0.837, 0.063)
Cl (0.122, 0.726, 0.832)
Cl (0.018, 0.454, 0.869)
Cl (0.518, 0.546, 0.631)
Cl (0.878, 0.274, 0.168)
Cl (0.886, 0.558, 0.604)
Cl (0.005, 0.163, 0.437)
Cl (0.614, 0.558, 0.104)
Cl (0.482, 0.454, 0.369)
Cl (0.830, 0.691, 0.796)
Cl (0.320, 0.609, 0.124)
Cl (0.170, 0.309, 0.204)
Cl (0.330, 0.309, 0.704)
Cl (0.180, 0.609, 0.624)
Cl (0.386, 0.442, 0.896)
Cl (0.982, 0.546, 0.131)
Cl (0.680, 0.391, 0.876)
Cl (0.378, 0.726, 0.332)
Cl (0.114, 0.442, 0.396)
Cl (0.495, 0.163, 0.937)
Cl (0.995, 0.837, 0.563)
Cl (0.622, 0.274, 0.668)
W (0.495, 0.639, 0.214)
W (0.995, 0.361, 0.286)
W (0.505, 0.361, 0.786)
W (0.005, 0.639, 0.714)

Properties
Mass density = 4.12 g/cm³
Energy = -163.22 eV for the cell shown
Crystal system = monoclinic
Calculated formation energy = -0.862 eV per atom



4.
## Nd2InGe2 (PBE)

Data for a geometry-optimized Nd2InGe2 structure.

Lattice parameters (Å, degrees): 4.362 7.596 7.596 90.00 90.00 90.00
Fractional coordinates of all 10 atoms:
Ge (0.000, 0.381, 0.119)
Ge (0.000, 0.119, 0.619)
Ge (0.000, 0.619, 0.881)
Ge (0.000, 0.881, 0.381)
Nd (0.500, 0.321, 0.821)
Nd (0.500, 0.821, 0.679)
Nd (0.500, 0.179, 0.321)
Nd (0.500, 0.679, 0.179)
In (0.000, 0.500, 0.500)
In (0.000, 0.000, 0.000)

Properties
Mass density = 7.24 g/cm³
Energy = -50.45 eV for the cell shown
Crystal system = tetragonal
Calculated formation energy = -0.738 eV per atom



5.
## Ba7Li3Ru4O20 (PBE)

Data for a geometry-optimized Ba7Li3Ru4O20 structure.

Lattice parameters (Å, degrees): 5.831 5.831 17.450 80.41 80.41 60.21
Fractional coordinates of all 34 atoms:
Ba (0.720, 0.723, 0.845)
Ba (0.192, 0.191, 0.426)
Ba (0.431, 0.430, 0.710)
Ba (0.945, 0.055, 0.000)
Ba (0.809, 0.808, 0.574)
Ba (0.570, 0.569, 0.290)
Ba (0.277, 0.280, 0.155)
Ru (0.932, 0.929, 0.207)
Ru (0.876, 0.877, 0.371)
Ru (0.123, 0.124, 0.629)
Ru (0.071, 0.068, 0.793)
O (0.605, 0.052, 0.289)
O (0.053, 0.604, 0.290)
O (0.811, 0.597, 0.988)
O (0.697, 0.698, 0.427)
O (0.948, 0.395, 0.711)
O (0.786, 0.270, 0.150)
O (0.302, 0.822, 0.573)
O (0.213, 0.211, 0.848)
O (0.730, 0.214, 0.850)
O (0.269, 0.784, 0.148)
O (0.698, 0.179, 0.427)
O (0.302, 0.303, 0.573)
O (0.396, 0.947, 0.710)
O (0.178, 0.698, 0.427)
O (0.216, 0.731, 0.852)
O (0.403, 0.189, 0.012)
O (0.789, 0.787, 0.152)
O (0.947, 0.943, 0.712)
O (0.057, 0.053, 0.288)
O (0.821, 0.302, 0.573)
Li (0.352, 0.360, 0.909)
Li (0.640, 0.648, 0.091)
Li (0.500, 0.500, 0.500)

Properties
Mass density = 5.61 g/cm³
Energy = -218.53 eV for the cell shown
Crystal system = monoclinic
Calculated formation energy = -2.266 eV per atom



6.
## Pr20AlSi19N33Cl2O19 (PBE)

Data for a geometry-optimized Pr20AlSi19N33Cl2O19 structure.

Lattice parameters (Å, degrees): 11.713 10.627 11.295 89.89 90.00 90.00
Fractional coordinates of all 94 atoms:
N (0.716, 0.476, 0.695)
N (0.282, 0.528, 0.306)
N (0.715, 0.976, 0.808)
N (0.285, 0.976, 0.808)
N (0.878, 0.667, 0.685)
N (0.000, 0.381, 0.902)
N (0.129, 0.829, 0.186)
N (0.500, 0.104, 0.110)
N (0.650, 0.730, 0.752)
N (0.651, 0.230, 0.750)
N (0.350, 0.730, 0.752)
N (0.500, 0.596, 0.391)
N (0.802, 0.080, 0.599)
N (0.000, 0.121, 0.401)
N (0.718, 0.528, 0.306)
N (0.356, 0.772, 0.256)
N (0.500, 0.398, 0.619)
N (0.123, 0.337, 0.318)
N (0.877, 0.337, 0.318)
N (0.500, 0.899, 0.885)
N (0.284, 0.476, 0.695)
N (0.349, 0.230, 0.750)
N (0.122, 0.667, 0.685)
N (0.198, 0.080, 0.599)
N (0.871, 0.829, 0.186)
N (0.000, 0.153, 0.035)
N (0.649, 0.275, 0.246)
N (0.351, 0.275, 0.246)
N (0.644, 0.772, 0.256)
N (0.714, 0.025, 0.195)
N (0.123, 0.168, 0.819)
N (0.877, 0.168, 0.819)
N (0.286, 0.025, 0.195)
Pr (0.763, 0.141, 0.401)
Pr (0.827, 0.499, 0.498)
Pr (0.231, 0.861, 0.605)
Pr (0.237, 0.141, 0.401)
Pr (0.243, 0.645, 0.104)
Pr (0.757, 0.645, 0.104)
Pr (0.228, 0.353, 0.896)
Pr (0.000, 0.898, 0.363)
Pr (0.500, 0.126, 0.881)
Pr (0.769, 0.861, 0.605)
Pr (0.500, 0.869, 0.118)
Pr (0.835, 0.003, 0.001)
Pr (0.772, 0.353, 0.896)
Pr (0.000, 0.611, 0.873)
Pr (0.500, 0.360, 0.384)
Pr (0.173, 0.499, 0.498)
Pr (0.000, 0.364, 0.125)
Pr (0.500, 0.625, 0.619)
Pr (0.165, 0.003, 0.001)
Pr (0.000, 0.139, 0.627)
Cl (0.500, 0.577, 0.051)
Cl (0.500, 0.079, 0.451)
Si (0.636, 0.850, 0.855)
Si (0.364, 0.850, 0.855)
Si (0.755, 0.387, 0.243)
Si (0.751, 0.884, 0.257)
Si (0.365, 0.153, 0.145)
Si (0.636, 0.348, 0.648)
Si (0.000, 0.215, 0.893)
Si (0.364, 0.348, 0.648)
Si (0.633, 0.650, 0.356)
Si (0.249, 0.884, 0.257)
Si (0.247, 0.616, 0.757)
Si (0.757, 0.114, 0.739)
Si (0.245, 0.387, 0.243)
Si (0.000, 0.707, 0.611)
Si (0.000, 0.282, 0.385)
Si (0.367, 0.650, 0.356)
Si (0.753, 0.616, 0.757)
Si (0.243, 0.114, 0.739)
Si (0.635, 0.153, 0.145)
O (0.205, 0.585, 0.896)
O (0.000, 0.849, 0.964)
O (0.798, 0.419, 0.105)
O (0.687, 0.186, 0.010)
O (0.000, 0.348, 0.523)
O (0.687, 0.323, 0.511)
O (0.313, 0.323, 0.511)
O (0.000, 0.639, 0.478)
O (0.313, 0.818, 0.991)
O (0.202, 0.419, 0.105)
O (0.000, 0.862, 0.581)
O (0.000, 0.614, 0.084)
O (0.686, 0.682, 0.492)
O (0.795, 0.585, 0.896)
O (0.314, 0.682, 0.492)
O (0.313, 0.186, 0.010)
O (0.687, 0.818, 0.991)
O (0.794, 0.914, 0.396)
O (0.206, 0.914, 0.396)
Al (0.000, 0.781, 0.108)

Properties
Mass density = 4.98 g/cm³
Energy = -762.67 eV for the cell shown
Crystal system = monoclinic
Calculated formation energy = -2.133 eV per atom



7.
## DyGeRh (PBE)

Data for a geometry-optimized DyGeRh structure.

Lattice parameters (Å, degrees): 4.345 6.962 7.557 90.00 90.00 90.00
Fractional coordinates of all 12 atoms:
Rh (0.250, 0.161, 0.928)
Rh (0.250, 0.661, 0.572)
Rh (0.750, 0.339, 0.428)
Rh (0.750, 0.839, 0.072)
Ge (0.750, 0.209, 0.102)
Ge (0.750, 0.709, 0.398)
Ge (0.250, 0.791, 0.898)
Ge (0.250, 0.291, 0.602)
Dy (0.750, 0.502, 0.803)
Dy (0.250, 0.998, 0.303)
Dy (0.250, 0.498, 0.197)
Dy (0.750, 0.002, 0.697)

Properties
Mass density = 9.82 g/cm³
Energy = -78.12 eV for the cell shown
Crystal system = orthorhombic
Calculated formation energy = -0.979 eV per atom



8.
## EuMn2Ge2 (PBE)

Data for a geometry-optimized EuMn2Ge2 structure.

Lattice parameters (Å, degrees): 5.784 5.784 5.784 140.39 140.39 57.26
Fractional coordinates of all 5 atoms:
Ge (0.375, 0.375, 0.000)
Ge (0.625, 0.625, 0.000)
Eu (0.000, 0.000, 0.000)
Mn (0.750, 0.250, 0.500)
Mn (0.250, 0.750, 0.500)

Properties
Mass density = 8.67 g/cm³
Energy = -38.97 eV for the cell shown
Crystal system = tetragonal
Calculated formation energy = -0.229 eV per atom



- What is the calculated formation energy in the second record?
  -2.607 eV per atom



- Which of these has the highest calculated formation energy?
  EuMn2Ge2



- The highest energy belongs to which entry?
  EuMn2Ge2



- Among the records above, which one has the highest calculated formation energy?
  EuMn2Ge2